Material: Zr6CI12
Method: DFT, PBE-GGA
State: relaxed

Output
- crystal system = trigonal
- ρ (g cm⁻³) = 5.1
- space-group type = R-3
- MP2020-corrected energy (eV/atom) = -5.34

Cell: 9.3451 9.3451 9.3451 Å, 106.77 106.77 106.77°
Element x y z (fractional)
Zr  0.9153  0.9754  0.7375
Zr  0.7375  0.9153  0.9754
Zr  0.9754  0.7375  0.9153
Zr  0.0847  0.0246  0.2625
Zr  0.2625  0.0847  0.0246
Zr  0.0246  0.2625  0.0847
C  0.0000  0.0000  0.0000
I  0.4355  0.1394  0.3620
I  0.1394  0.3620  0.4355
I  0.6380  0.5645  0.8606
I  0.5645  0.8606  0.6380
I  0.8606  0.6380  0.5645
I  0.3620  0.4355  0.1394
I  0.7764  0.9220  0.3038
I  0.3038  0.7764  0.9220
I  0.9220  0.3038  0.7764
I  0.2236  0.0780  0.6962
I  0.6962  0.2236  0.0780
I  0.0780  0.6962  0.2236


Material: ErI3O11
Method: DFT, PBE-GGA
State: relaxed

Output
- crystal system = triclinic
- ρ (g cm⁻³) = 4.8
- space-group type = P-1
- MP2020-corrected energy (eV/atom) = -5.25

Cell: 6.9945 7.5252 10.6687 Å, 94.00 105.86 110.87°
Element x y z (fractional)
Er  0.1015  0.9253  0.2901
Er  0.8985  0.0747  0.7099
I  0.7237  0.1407  0.3395
I  0.2763  0.8593  0.6605
I  0.3203  0.3571  0.5760
I  0.6797  0.6429  0.4240
I  0.2641  0.2275  0.0432
I  0.7359  0.7725  0.9568
O  0.7382  0.2782  0.1111
O  0.2618  0.7218  0.8889
O  0.7070  0.0330  0.4877
O  0.2930  0.9670  0.5123
O  0.0656  0.1250  0.1305
O  0.9344  0.8750  0.8695
O  0.6209  0.3983  0.4640
O  0.3791  0.6017  0.5360
O  0.4297  0.0446  0.2494
O  0.5703  0.9554  0.7506
O  0.0914  0.2963  0.9084
O  0.9086  0.7037  0.0916
O  0.1399  0.2218  0.4077
O  0.8601  0.7782  0.5923
O  0.2364  0.0599  0.7454
O  0.7636  0.9401  0.2546
O  0.0981  0.3459  0.6398
O  0.9019  0.6541  0.3602
O  0.4439  0.4586  0.1511
O  0.5561  0.5414  0.8489
O  0.2229  0.6679  0.2790
O  0.7771  0.3321  0.7210